Entry 1:
{"formula": "CsNaO3", "functional": "PBE-GGA", "state": "optimized geometry", "spacegroup": "Pm-3m", "cell": [[4.448, 0.000, 0.000], [0.000, 4.448, 0.000], [0.000, 0.000, 4.448]], "species": ["Cs", "Na", "O", "O", "O"], "fractional_positions": [[0.000, 0.000, 0.000], [0.500, 0.500, 0.500], [0.000, 0.000, 0.500], [0.000, 0.500, 0.000], [0.500, 0.000, 0.000]]}

Entry 2:
{"formula": "SmLuIn2", "functional": "PBE-GGA", "state": "optimized geometry", "spacegroup": "Fm-3m", "cell": [[7.537, 0.000, 0.000], [0.000, 7.537, 0.000], [0.000, 0.000, 7.537]], "species": ["Sm", "Sm", "Sm", "Sm", "Lu", "Lu", "Lu", "Lu", "In", "In", "In", "In", "In", "In", "In", "In"], "fractional_positions": [[0.000, 0.000, 0.000], [0.000, 0.500, 0.500], [0.500, 0.000, 0.500], [0.500, 0.500, 0.000], [0.000, 0.000, 0.500], [0.000, 0.500, 0.000], [0.500, 0.000, 0.000], [0.500, 0.500, 0.500], [0.250, 0.250, 0.250], [0.250, 0.250, 0.750], [0.250, 0.750, 0.250], [0.250, 0.750, 0.750], [0.750, 0.250, 0.250], [0.750, 0.250, 0.750], [0.750, 0.750, 0.250], [0.750, 0.750, 0.750]]}

Entry 3:
{"formula": "CaAl2H16N9", "functional": "PBE-GGA", "state": "optimized geometry", "spacegroup": "C2/c", "cell": [[7.274, -5.081, 0.000], [7.274, 5.081, 0.000], [-5.832, 0.000, 8.484]], "species": ["Ca", "Ca", "Al", "Al", "Al", "Al", "H", "H", "H", "H", "H", "H", "H", "H", "H", "H", "H", "H", "H", "H", "H", "H", "H", "H", "H", "H", "H", "H", "H", "H", "H", "H", "H", "H", "H", "H", "H", "H", "N", "N", "N", "N", "N", "N", "N", "N", "N", "N", "N", "N", "N", "N", "N", "N", "N", "N"], "fractional_positions": [[0.063, 0.937, 0.750], [0.937, 0.063, 0.250], [0.173, 0.220, 0.705], [0.220, 0.173, 0.205], [0.780, 0.827, 0.795], [0.827, 0.780, 0.295], [0.026, 0.322, 0.898], [0.036, 0.615, 0.463], [0.063, 0.623, 0.803], [0.092, 0.778, 0.975], [0.123, 0.710, 0.278], [0.145, 0.317, 0.505], [0.222, 0.908, 0.525], [0.290, 0.877, 0.222], [0.297, 0.474, 0.384], [0.317, 0.145, 0.005], [0.322, 0.026, 0.398], [0.329, 0.450, 0.947], [0.377, 0.937, 0.697], [0.385, 0.964, 0.037], [0.450, 0.329, 0.447], [0.474, 0.297, 0.884], [0.526, 0.703, 0.116], [0.550, 0.671, 0.553], [0.615, 0.036, 0.963], [0.623, 0.063, 0.303], [0.671, 0.550, 0.053], [0.678, 0.974, 0.602], [0.683, 0.855, 0.995], [0.703, 0.526, 0.616], [0.710, 0.123, 0.778], [0.778, 0.092, 0.475], [0.855, 0.683, 0.495], [0.877, 0.290, 0.722], [0.908, 0.222, 0.025], [0.937, 0.377, 0.197], [0.964, 0.385, 0.537], [0.974, 0.678, 0.102], [0.003, 0.251, 0.781], [0.021, 0.750, 0.857], [0.061, 0.281, 0.525], [0.250, 0.979, 0.643], [0.251, 0.003, 0.281], [0.281, 0.061, 0.025], [0.323, 0.351, 0.380], [0.351, 0.323, 0.880], [0.353, 0.647, 0.750], [0.647, 0.353, 0.250], [0.649, 0.677, 0.120], [0.677, 0.649, 0.620], [0.719, 0.939, 0.975], [0.749, 0.997, 0.719], [0.750, 0.021, 0.357], [0.939, 0.719, 0.475], [0.979, 0.250, 0.143], [0.997, 0.749, 0.219]]}

Entry 4:
{"formula": "Na14Ti4Ga4Si9S3O48", "functional": "PBE-GGA", "state": "optimized geometry", "spacegroup": "P1", "cell": [[8.960, 0.000, 0.000], [-0.013, 15.500, 0.000], [-0.067, -0.048, 22.018]], "species": ["Na", "Na", "Na", "Na", "Na", "Na", "Na", "Na", "Na", "Na", "Na", "Na", "Na", "Na", "Na", "Na", "Na", "Na", "Na", "Na", "Na", "Na", "Na", "Na", "Na", "Na", "Na", "Na", "Na", "Na", "Na", "Na", "Na", "Na", "Na", "Na", "Na", "Na", "Na", "Na", "Na", "Na", "Ti", "Ti", "Ti", "Ti", "Ti", "Ti", "Ti", "Ti", "Ti", "Ti", "Ti", "Ti", "Ga", "Ga", "Ga", "Ga", "Ga", "Ga", "Ga", "Ga", "Ga", "Ga", "Ga", "Ga", "Si", "Si", "Si", "Si", "Si", "Si", "Si", "Si", "Si", "Si", "Si", "Si", "Si", "Si", "Si", "Si", "Si", "Si", "Si", "Si", "Si", "Si", "Si", "Si", "Si", "Si", "Si", "S", "S", "S", "S", "S", "S", "S", "S", "S", "O", "O", "O", "O", "O", "O", "O", "O", "O", "O", "O", "O", "O", "O", "O", "O", "O", "O", "O", "O", "O", "O", "O", "O", "O", "O", "O", "O", "O", "O", "O", "O", "O", "O", "O", "O", "O", "O", "O", "O", "O", "O", "O", "O", "O", "O", "O", "O", "O", "O", "O", "O", "O", "O", "O", "O", "O", "O", "O", "O", "O", "O", "O", "O", "O", "O", "O", "O", "O", "O", "O", "O", "O", "O", "O", "O", "O", "O", "O", "O", "O", "O", "O", "O", "O", "O", "O", "O", "O", "O", "O", "O", "O", "O", "O", "O", "O", "O", "O", "O", "O", "O", "O", "O", "O", "O", "O", "O", "O", "O", "O", "O", "O", "O", "O", "O", "O", "O", "O", "O", "O", "O", "O", "O", "O", "O", "O", "O", "O", "O", "O", "O", "O", "O", "O", "O", "O", "O", "O", "O", "O", "O", "O", "O"], "fractional_positions": [[0.000, 0.000, 0.000], [0.000, 0.300, 0.671], [0.037, 0.314, 0.996], [0.049, 0.652, 0.333], [0.054, 0.982, 0.669], [0.175, 0.486, 0.915], [0.175, 0.822, 0.751], [0.178, 0.146, 0.080], [0.180, 0.147, 0.584], [0.183, 0.489, 0.414], [0.184, 0.819, 0.249], [0.308, 0.978, 0.165], [0.318, 0.650, 0.835], [0.320, 0.316, 0.500], [0.360, 0.998, 0.501], [0.362, 0.301, 0.166], [0.362, 0.967, 0.832], [0.369, 0.332, 0.831], [0.372, 0.670, 0.164], [0.488, 0.168, 0.667], [0.493, 0.831, 0.329], [0.499, 0.472, 0.329], [0.500, 0.801, 0.669], [0.502, 0.500, 0.999], [0.544, 0.148, 0.331], [0.545, 0.816, 0.000], [0.552, 0.480, 0.670], [0.677, 0.319, 0.752], [0.680, 0.986, 0.916], [0.683, 0.647, 0.581], [0.685, 0.650, 0.082], [0.687, 0.985, 0.414], [0.688, 0.321, 0.247], [0.807, 0.483, 0.166], [0.812, 0.151, 0.836], [0.823, 0.814, 0.496], [0.860, 0.462, 0.832], [0.860, 0.503, 0.500], [0.864, 0.801, 0.164], [0.868, 0.166, 0.159], [0.991, 0.668, 0.662], [0.999, 0.961, 0.330], [0.176, 0.143, 0.930], [0.176, 0.485, 0.563], [0.180, 0.484, 0.062], [0.183, 0.473, 0.272], [0.184, 0.822, 0.900], [0.199, 0.145, 0.435], [0.662, 0.320, 0.395], [0.667, 0.651, 0.939], [0.677, 0.972, 0.774], [0.681, 0.982, 0.563], [0.684, 0.644, 0.430], [0.693, 0.977, 0.058], [0.161, 0.827, 0.599], [0.165, 0.813, 0.393], [0.178, 0.147, 0.230], [0.184, 0.468, 0.768], [0.185, 0.824, 0.096], [0.194, 0.150, 0.735], [0.663, 0.325, 0.600], [0.666, 0.651, 0.233], [0.677, 0.967, 0.266], [0.686, 0.648, 0.733], [0.696, 0.314, 0.894], [0.700, 0.325, 0.099], [0.032, 0.964, 0.497], [0.034, 0.002, 0.828], [0.037, 0.293, 0.831], [0.037, 0.336, 0.166], [0.039, 0.672, 0.499], [0.316, 0.671, 0.999], [0.319, 0.291, 0.331], [0.325, 0.335, 0.665], [0.330, 0.967, 0.000], [0.331, 0.002, 0.329], [0.386, 0.651, 0.332], [0.387, 0.981, 0.665], [0.474, 0.151, 0.832], [0.474, 0.481, 0.165], [0.530, 0.467, 0.500], [0.532, 0.505, 0.830], [0.532, 0.835, 0.164], [0.534, 0.790, 0.831], [0.545, 0.171, 0.500], [0.821, 0.172, 0.999], [0.824, 0.793, 0.330], [0.825, 0.836, 0.666], [0.828, 0.463, 0.997], [0.828, 0.502, 0.329], [0.889, 0.482, 0.667], [0.898, 0.811, 0.001], [0.972, 0.983, 0.168], [0.038, 0.626, 0.166], [0.324, 0.628, 0.665], [0.391, 0.315, 0.000], [0.470, 0.814, 0.500], [0.537, 0.127, 0.165], [0.824, 0.128, 0.665], [0.892, 0.152, 0.332], [0.967, 0.314, 0.499], [0.971, 0.651, 0.832], [0.005, 0.805, 0.334], [0.007, 0.163, 0.994], [0.007, 0.827, 0.662], [0.008, 0.832, 0.943], [0.010, 0.498, 0.325], [0.011, 0.469, 0.007], [0.056, 0.902, 0.438], [0.060, 0.064, 0.889], [0.061, 0.233, 0.770], [0.063, 0.394, 0.503], [0.065, 0.732, 0.560], [0.067, 0.571, 0.112], [0.068, 0.573, 0.827], [0.069, 0.239, 0.493], [0.069, 0.402, 0.223], [0.070, 0.728, 0.836], [0.074, 0.895, 0.163], [0.078, 0.071, 0.170], [0.103, 0.586, 0.221], [0.105, 0.572, 0.507], [0.106, 0.712, 0.162], [0.109, 0.061, 0.488], [0.112, 0.712, 0.438], [0.113, 0.384, 0.106], [0.114, 0.390, 0.830], [0.115, 0.908, 0.838], [0.116, 0.045, 0.769], [0.116, 0.241, 0.172], [0.116, 0.248, 0.891], [0.119, 0.929, 0.558], [0.241, 0.241, 0.667], [0.245, 0.046, 0.272], [0.245, 0.927, 0.059], [0.247, 0.060, 0.991], [0.249, 0.386, 0.606], [0.249, 0.716, 0.938], [0.250, 0.247, 0.393], [0.253, 0.571, 0.005], [0.256, 0.389, 0.328], [0.257, 0.590, 0.721], [0.258, 0.908, 0.340], [0.259, 0.715, 0.659], [0.281, 0.067, 0.668], [0.282, 0.564, 0.325], [0.285, 0.738, 0.340], [0.290, 0.240, 0.995], [0.290, 0.891, 0.658], [0.294, 0.395, 0.004], [0.294, 0.571, 0.611], [0.299, 0.067, 0.389], [0.299, 0.731, 0.059], [0.302, 0.230, 0.272], [0.302, 0.902, 0.940], [0.311, 0.398, 0.724], [0.347, 0.501, 0.825], [0.348, 0.468, 0.505], [0.350, 0.824, 0.159], [0.352, 0.802, 0.836], [0.356, 0.131, 0.887], [0.357, 0.163, 0.493], [0.361, 0.497, 0.106], [0.363, 0.467, 0.224], [0.370, 0.136, 0.169], [0.379, 0.831, 0.445], [0.380, 0.172, 0.770], [0.380, 0.803, 0.555], [0.482, 0.304, 0.056], [0.482, 0.331, 0.945], [0.482, 0.671, 0.271], [0.490, 0.634, 0.667], [0.498, 0.967, 0.723], [0.500, 0.997, 0.605], [0.501, 0.660, 0.993], [0.504, 0.630, 0.388], [0.506, 0.302, 0.338], [0.508, 0.324, 0.660], [0.511, 0.970, 0.005], [0.515, 0.001, 0.326], [0.545, 0.896, 0.225], [0.559, 0.731, 0.770], [0.562, 0.401, 0.441], [0.565, 0.072, 0.112], [0.565, 0.568, 0.889], [0.566, 0.232, 0.559], [0.568, 0.895, 0.504], [0.571, 0.739, 0.495], [0.572, 0.391, 0.159], [0.576, 0.237, 0.840], [0.579, 0.064, 0.825], [0.580, 0.567, 0.169], [0.601, 0.216, 0.160], [0.603, 0.091, 0.222], [0.604, 0.408, 0.839], [0.605, 0.071, 0.504], [0.606, 0.888, 0.827], [0.609, 0.747, 0.891], [0.612, 0.218, 0.438], [0.612, 0.560, 0.492], [0.613, 0.886, 0.107], [0.616, 0.545, 0.770], [0.618, 0.426, 0.558], [0.619, 0.741, 0.168], [0.742, 0.542, 0.271], [0.743, 0.428, 0.058], [0.746, 0.741, 0.671], [0.746, 0.748, 0.391], [0.747, 0.890, 0.330], [0.748, 0.884, 0.606], [0.750, 0.213, 0.938], [0.750, 0.406, 0.342], [0.751, 0.558, 0.989], [0.756, 0.074, 0.007], [0.757, 0.090, 0.720], [0.758, 0.215, 0.658], [0.780, 0.731, 0.991], [0.783, 0.569, 0.670], [0.790, 0.392, 0.659], [0.792, 0.900, 0.004], [0.793, 0.072, 0.610], [0.793, 0.229, 0.338], [0.794, 0.903, 0.722], [0.795, 0.074, 0.329], [0.799, 0.233, 0.060], [0.800, 0.732, 0.271], [0.801, 0.563, 0.390], [0.807, 0.400, 0.939], [0.850, 0.970, 0.507], [0.852, 0.999, 0.824], [0.854, 0.327, 0.163], [0.854, 0.662, 0.494], [0.856, 0.304, 0.833], [0.864, 0.000, 0.108], [0.866, 0.970, 0.228], [0.870, 0.328, 0.446], [0.873, 0.633, 0.168], [0.873, 0.637, 0.884], [0.881, 0.302, 0.556], [0.885, 0.664, 0.774], [0.977, 0.166, 0.275], [0.988, 0.135, 0.667], [0.991, 0.138, 0.385], [0.992, 0.798, 0.062], [0.996, 0.467, 0.726], [0.999, 0.498, 0.607]]}

Entry 5:
{"formula": "SiO2", "functional": "PBE-GGA", "state": "optimized geometry", "spacegroup": "Cmcm", "cell": [[4.908, -13.019, 0.000], [4.908, 13.019, 0.000], [0.000, 0.000, 8.477]], "species": ["Si", "Si", "Si", "Si", "Si", "Si", "Si", "Si", "Si", "Si", "Si", "Si", "Si", "Si", "Si", "Si", "Si", "Si", "Si", "Si", "O", "O", "O", "O", "O", "O", "O", "O", "O", "O", "O", "O", "O", "O", "O", "O", "O", "O", "O", "O", "O", "O", "O", "O", "O", "O", "O", "O", "O", "O", "O", "O", "O", "O", "O", "O", "O", "O", "O", "O"], "fractional_positions": [[0.059, 0.941, 0.559], [0.059, 0.941, 0.941], [0.066, 0.347, 0.562], [0.066, 0.347, 0.938], [0.223, 0.777, 0.566], [0.223, 0.777, 0.934], [0.336, 0.664, 0.064], [0.336, 0.664, 0.436], [0.347, 0.066, 0.062], [0.347, 0.066, 0.438], [0.653, 0.934, 0.562], [0.653, 0.934, 0.938], [0.664, 0.336, 0.564], [0.664, 0.336, 0.936], [0.777, 0.223, 0.066], [0.777, 0.223, 0.434], [0.934, 0.653, 0.062], [0.934, 0.653, 0.438], [0.941, 0.059, 0.059], [0.941, 0.059, 0.441], [0.000, 0.000, 0.000], [0.000, 0.000, 0.500], [0.038, 0.335, 0.750], [0.050, 0.223, 0.508], [0.050, 0.223, 0.992], [0.053, 0.675, 0.530], [0.053, 0.675, 0.970], [0.062, 0.938, 0.750], [0.223, 0.050, 0.008], [0.223, 0.050, 0.492], [0.228, 0.506, 0.519], [0.228, 0.506, 0.981], [0.240, 0.760, 0.750], [0.274, 0.726, 0.043], [0.274, 0.726, 0.457], [0.325, 0.947, 0.530], [0.325, 0.947, 0.970], [0.335, 0.038, 0.250], [0.349, 0.651, 0.250], [0.494, 0.772, 0.519], [0.494, 0.772, 0.981], [0.506, 0.228, 0.019], [0.506, 0.228, 0.481], [0.651, 0.349, 0.750], [0.665, 0.962, 0.750], [0.675, 0.053, 0.030], [0.675, 0.053, 0.470], [0.726, 0.274, 0.543], [0.726, 0.274, 0.957], [0.760, 0.240, 0.250], [0.772, 0.494, 0.019], [0.772, 0.494, 0.481], [0.777, 0.950, 0.508], [0.777, 0.950, 0.992], [0.938, 0.062, 0.250], [0.947, 0.325, 0.030], [0.947, 0.325, 0.470], [0.950, 0.777, 0.008], [0.950, 0.777, 0.492], [0.962, 0.665, 0.250]]}

Entry 6:
{"formula": "NaYF4", "functional": "PBE-GGA", "state": "optimized geometry", "spacegroup": "P4/mmm", "cell": [[3.841, 0.000, 0.000], [0.000, 3.841, 0.000], [0.000, 0.000, 5.553]], "species": ["Na", "Y", "F", "F", "F", "F"], "fractional_positions": [[0.000, 0.000, 0.000], [0.500, 0.500, 0.500], [0.000, 0.500, 0.270], [0.000, 0.500, 0.730], [0.500, 0.000, 0.270], [0.500, 0.000, 0.730]]}

no.,ΔH_f (0 K) (meV per atom)
1,-272
2,-433
3,-466
4,-2679
5,-3257
6,-3966